Computed, not measured: crystalline SrCo2H2Se4O12 at its relaxed geometry at the GGA+U level of DFT.

## Properties
Energy   -5.4071 eV per atom
Formation enthalpy at 0 K   -1.382 eV/atom

```
data_SrCo2H2Se4O12
_chemical_formula_sum 'Sr4 Co8 H8 Se16 O48'
_space_group_name_H-M_alt 'P 1 2/c 1'
_space_group_IT_number 13
_space_group_name_Hall '-P 2yc'
_cell_length_a 14.0532
_cell_length_b 5.3803
_cell_length_c 19.8426
_cell_angle_alpha 90.00
_cell_angle_beta 130.57
_cell_angle_gamma 90.00
loop_
_atom_site_label
_atom_site_type_symbol
_atom_site_fract_x
_atom_site_fract_y
_atom_site_fract_z
Sr1 Sr 0.0000 0.0408 0.2500
Sr2 Sr 0.5000 0.1715 0.7500
Co1 Co 0.2498 0.0944 0.5034
Co2 Co 0.2523 0.4529 0.7549
H1 H 0.2483 0.2760 0.8820
H2 H 0.2568 0.3848 0.1293
Se1 Se 0.0663 0.4188 0.9081
Se2 Se 0.1472 0.0206 0.1215
Se3 Se 0.3533 0.0745 0.3846
Se4 Se 0.4248 0.3952 0.0897
O1 O 0.0697 0.3425 0.6979
O2 O 0.1025 0.2948 0.3908
O3 O 0.1306 0.0390 0.5309
O4 O 0.1679 0.2177 0.9113
O5 O 0.1989 0.3550 0.1415
O6 O 0.2152 0.2132 0.2973
O7 O 0.2830 0.1241 0.7081
O8 O 0.3056 0.2592 0.8670
O9 O 0.3252 0.4099 0.5890
O10 O 0.3699 0.1372 0.4754
O11 O 0.3900 0.1174 0.1144
O12 O 0.4354 0.4794 0.3075
```